Below is Ba3IrN3 after structural relaxation, with properties calculated at the PBE level.

- Energy of formation: -0.58 eV/atom
- Uncorrected energy: -6.0810 eV per atom
- E (MP2020): -43.650 eV per formula unit
- Volume: 23.5 Å³/atom

CIF file:
```
data_Ba3IrN3
_cell_length_a 8.1721
_cell_length_b 8.1721
_cell_length_c 5.6835
_cell_angle_alpha 90.00
_cell_angle_beta 90.00
_cell_angle_gamma 120.00
_symmetry_space_group_name_H-M 'P 63/m'
_symmetry_Int_Tables_number 176
_symmetry_space_group_name_Hall '-P 6c'
loop_
_atom_site_label
_atom_site_type_symbol
_atom_site_fract_x
_atom_site_fract_y
_atom_site_fract_z
Ba1 Ba 0.0989 0.3647 0.2500
Ir1 Ir 0.3333 0.6667 0.7500
N1 N 0.1146 0.4250 0.7500
```


Below is Ba4Ir3N7 after structural relaxation, with properties calculated at the PBE level.

- Total magnetization: 0.000 μB per atom
- Energy of formation: -0.28 eV/atom
- Uncorrected energy: -6.7107 eV per atom
- E (MP2020): -96.476 eV per formula unit
- Volume: 19.4 Å³/atom

CIF file:
```
data_Ba4Ir3N7
_cell_length_a 10.7940
_cell_length_b 6.4320
_cell_length_c 18.3959
_cell_angle_alpha 90.00
_cell_angle_beta 121.86
_cell_angle_gamma 90.00
_symmetry_space_group_name_H-M 'P 1 2/c 1'
_symmetry_Int_Tables_number 13
loop_
_symmetry_equiv_pos_as_xyz
'x,y,z'
'-x,-y,-z'
'-x,y,-z+1/2'
'x,-y,z+1/2'
loop_
_atom_site_label
_atom_site_type_symbol
_atom_site_fract_x
_atom_site_fract_y
_atom_site_fract_z
Ba1 Ba 0.0000 0.0923 0.2500
Ba2 Ba 0.2146 0.2777 0.9741
Ba3 Ba 0.2165 0.1705 0.6208
Ba4 Ba 0.3669 0.2359 0.4239
Ba5 Ba 0.5000 0.3292 0.2500
Ir1 Ir 0.0482 0.3078 0.0864
Ir2 Ir 0.1492 0.4104 0.7592
Ir3 Ir 0.4548 0.2291 0.8511
N1 N 0.0000 0.5000 0.0000
N2 N 0.0483 0.0714 0.4172
N3 N 0.0719 0.4994 0.3268
N4 N 0.2007 0.3934 0.1975
N5 N 0.2518 0.1461 0.7978
N6 N 0.4313 0.0128 0.0907
N7 N 0.4539 0.4629 0.5832
N8 N 0.5000 0.2453 0.7500
```


Below is Ba2IrN3 after structural relaxation, with properties calculated at the PBE level.

- Total magnetization: 0.000 μB per atom
- Energy of formation: -0.38 eV/atom
- Uncorrected energy: -6.4787 eV per atom
- E (MP2020): -39.955 eV per formula unit
- Volume: 19.7 Å³/atom

CIF file:
```
data_Ba2IrN3
_cell_length_a 6.0509
_cell_length_b 12.0351
_cell_length_c 12.9958
_cell_angle_alpha 90.00
_cell_angle_beta 90.00
_cell_angle_gamma 90.00
_symmetry_space_group_name_H-M 'C m c e'
_symmetry_Int_Tables_number 64
_symmetry_space_group_name_Hall '-C 2ac 2'
loop_
_atom_site_label
_atom_site_type_symbol
_atom_site_fract_x
_atom_site_fract_y
_atom_site_fract_z
Ba1 Ba 0.0000 0.0590 0.1431
Ba2 Ba 0.0000 0.1371 0.5790
Ir1 Ir 0.0000 0.2415 0.3372
N1 N 0.0000 0.0773 0.3620
N2 N 0.0000 0.1615 0.9512
N3 N 0.2500 0.2379 0.7500
```


Below is Ba3Ir2N4 after structural relaxation, with properties calculated at the PBE level.

- Total magnetization: 0.000 μB per atom
- Energy of formation: -0.25 eV/atom
- Uncorrected energy: -6.3997 eV per atom
- E (MP2020): -59.041 eV per formula unit
- Volume: 19.4 Å³/atom
- Polymorph energy (0 for the lowest one): 0 meV/atom

CIF file:
```
data_Ba3Ir2N4
_cell_length_a 6.6854
_cell_length_b 10.1195
_cell_length_c 10.3364
_cell_angle_alpha 90.00
_cell_angle_beta 90.00
_cell_angle_gamma 90.00
_symmetry_space_group_name_H-M 'P n n a'
_symmetry_Int_Tables_number 52
loop_
_symmetry_equiv_pos_as_xyz
'x,y,z'
'-x,-y,-z'
'-x+1/2,-y,z'
'x+1/2,y,-z'
'x,-y+1/2,-z+1/2'
'-x,y+1/2,z+1/2'
'-x+1/2,y+1/2,-z+1/2'
'x+1/2,-y+1/2,z+1/2'
loop_
_atom_site_label
_atom_site_type_symbol
_atom_site_fract_x
_atom_site_fract_y
_atom_site_fract_z
Ba1 Ba 0.1087 0.1611 0.0808
Ba2 Ba 0.2500 0.0000 0.4001
Ir1 Ir 0.0881 0.2500 0.7500
Ir2 Ir 0.2500 0.0000 0.7238
N1 N 0.0143 0.0815 0.8308
N2 N 0.1013 0.6275 0.8736
```


Below is Ba3Ir2N4 after structural relaxation, with properties calculated at the PBE level.

- Total magnetization: 0.000 μB per atom
- Energy of formation: -0.20 eV/atom
- Uncorrected energy: -6.3463 eV per atom
- E (MP2020): -58.561 eV per formula unit
- Volume: 18.9 Å³/atom
- Polymorph energy (0 for the lowest one): 53 meV/atom

CIF file:
```
data_Ba3Ir2N4
_cell_length_a 12.0604
_cell_length_b 9.7113
_cell_length_c 5.8303
_cell_angle_alpha 90.00
_cell_angle_beta 94.03
_cell_angle_gamma 90.00
_symmetry_space_group_name_H-M 'C 1 2/c 1'
_symmetry_Int_Tables_number 15
loop_
_symmetry_equiv_pos_as_xyz
'x,y,z'
'-x,-y,-z'
'-x,y,-z+1/2'
'x,-y,z+1/2'
'x+1/2,y+1/2,z'
'-x+1/2,-y+1/2,-z'
'-x+1/2,y+1/2,-z+1/2'
'x+1/2,-y+1/2,z+1/2'
loop_
_atom_site_label
_atom_site_type_symbol
_atom_site_fract_x
_atom_site_fract_y
_atom_site_fract_z
Ba1 Ba 0.0000 0.0874 0.2500
Ba2 Ba 0.1206 0.3477 0.5596
Ir1 Ir 0.2363 0.1178 0.9186
N1 N 0.1175 0.3101 0.0532
N2 N 0.1810 0.0519 0.5913
```


Below is Ba3NaIrO6 after structural relaxation, with properties calculated at the PBE level.

- Total magnetization: 0.182 μB per atom
- Energy of formation: -2.38 eV/atom
- Uncorrected energy: -6.1469 eV per atom
- E (MP2020): -71.738 eV per formula unit
- Volume: 16.7 Å³/atom

CIF file:
```
data_Ba3NaIrO6
_cell_length_a 10.2539
_cell_length_b 10.2539
_cell_length_c 12.0723
_cell_angle_alpha 90.00
_cell_angle_beta 90.00
_cell_angle_gamma 120.00
_symmetry_space_group_name_H-M 'R -3 c'
_symmetry_Int_Tables_number 167
_symmetry_space_group_name_Hall '-R 3 2"c'
loop_
_atom_site_label
_atom_site_type_symbol
_atom_site_fract_x
_atom_site_fract_y
_atom_site_fract_z
Ba1 Ba 0.0000 0.3562 0.2500
Na1 Na 0.0000 0.0000 0.2500
Ir1 Ir 0.0000 0.0000 0.0000
O1 O 0.0172 0.1674 0.4010
```


Below is Ba4NaIr3O12 after structural relaxation, with properties calculated at the PBE level.

- Total magnetization: 0.297 μB per atom
- Energy of formation: -2.04 eV/atom
- Uncorrected energy: -6.3714 eV per atom
- E (MP2020): -135.673 eV per formula unit
- Volume: 14.2 Å³/atom

CIF file:
```
data_Ba4NaIr3O12
_cell_length_a 8.2879
_cell_length_b 8.2879
_cell_length_c 8.2879
_cell_angle_alpha 90.00
_cell_angle_beta 90.00
_cell_angle_gamma 90.00
_symmetry_space_group_name_H-M 'I m -3 m'
_symmetry_Int_Tables_number 229
_symmetry_space_group_name_Hall '-I 4 2 3'
loop_
_atom_site_label
_atom_site_type_symbol
_atom_site_fract_x
_atom_site_fract_y
_atom_site_fract_z
Ba1 Ba 0.2500 0.2500 0.2500
Na1 Na 0.0000 0.0000 0.0000
Ir1 Ir 0.0000 0.0000 0.5000
O1 O 0.0000 0.0000 0.2701
O2 O 0.0000 0.2500 0.5000
```


Below is Ba3NaIrRuO9 after structural relaxation, with properties calculated at the PBE level.

- Total magnetization: 0.267 μB per atom
- Energy of formation: -2.21 eV/atom
- Uncorrected energy: -6.4437 eV per atom
- E (MP2020): -102.839 eV per formula unit
- Volume: 14.9 Å³/atom

CIF file:
```
data_Ba3NaIrRuO9
_cell_length_a 5.9772
_cell_length_b 5.9772
_cell_length_c 14.4876
_cell_angle_alpha 90.00
_cell_angle_beta 90.00
_cell_angle_gamma 120.00
_symmetry_space_group_name_H-M 'P 63 m c'
_symmetry_Int_Tables_number 186
_symmetry_space_group_name_Hall 'P 6c -2c'
loop_
_atom_site_label
_atom_site_type_symbol
_atom_site_fract_x
_atom_site_fract_y
_atom_site_fract_z
Ba1 Ba 0.0000 0.0000 0.0000
Ba2 Ba 0.3333 0.6667 0.1628
Ba3 Ba 0.3333 0.6667 0.8397
Na1 Na 0.0000 0.0000 0.2504
Ir1 Ir 0.3333 0.6667 0.4154
Ru1 Ru 0.3333 0.6667 0.5894
O1 O 0.0162 0.5081 0.4990
O2 O 0.1802 0.3604 0.3415
O3 O 0.1798 0.3595 0.6590
```